(1)
Computed, not measured: a relaxed structure of MnAlNi6 at the PBE level of DFT.

a b c (Å): 3.5238 3.5238 7.0935
angles (deg): 90.00 90.00 90.00
Last column: nearest neighbours and their distance in Å.
Atoms (fractional coordinates):
Mn (0.0000, 0.0000, 0.0000)  12 Ni 2.46-2.49
Al (0.0000, 0.0000, 0.5000)  12 Ni 2.49-2.54
Ni (0.0000, 0.5000, 0.2416)  2 Mn 2.46, 8 Ni 2.46-2.54, 2 Al 2.54
Ni (0.0000, 0.5000, 0.7584)  2 Mn 2.46, 8 Ni 2.46-2.54, 2 Al 2.54
Ni (0.5000, 0.0000, 0.2416)  2 Mn 2.46, 8 Ni 2.46-2.54, 2 Al 2.54
Ni (0.5000, 0.0000, 0.7584)  2 Mn 2.46, 8 Ni 2.46-2.54, 2 Al 2.54
Ni (0.5000, 0.5000, 0.0000)  8 Ni 2.46, 4 Mn 2.49
Ni (0.5000, 0.5000, 0.5000)  4 Al 2.49, 8 Ni 2.54

Results
SG: No. 123
ΔE_f, eV/atom: -0.257
Uncorrected energy, eV for the cell shown: -49.64

---

(2)
Computed, not measured: a relaxed structure of PaMn2Al at the PBE level of DFT.

a b c (Å): 4.4532 4.4532 4.4532
angles (deg): 60.00 60.00 60.00
Last column: nearest neighbours and their distance in Å.
Atoms (fractional coordinates):
Pa (0.0000, 0.0000, 0.0000)  8 Mn 2.73
Mn (0.2500, 0.2500, 0.2500)  4 Al 2.73, 4 Pa 2.73
Mn (0.7500, 0.7500, 0.7500)  4 Al 2.73, 4 Pa 2.73
Al (0.5000, 0.5000, 0.5000)  8 Mn 2.73

Results
SG: No. 225
ΔE_f, eV/atom: -0.162
Uncorrected energy, eV for the cell shown: -32.23

---

(3)
Computed, not measured: a relaxed structure of PrMn4Al8 at the PBE level of DFT.

a b c (Å): 6.8293 6.8293 6.8293
angles (deg): 98.38 98.38 135.13
Last column: nearest neighbours and their distance in Å.
Atoms (fractional coordinates):
Pr (0.0000, 0.0000, 0.0000)  12 Al 3.04-3.31
Mn (0.0000, 0.0000, 0.5000)  8 Al 2.59-2.71, 2 Mn 2.61
Mn (0.0000, 0.5000, 0.0000)  8 Al 2.59-2.71, 2 Mn 2.61
Mn (0.5000, 0.0000, 0.0000)  8 Al 2.59-2.71, 2 Mn 2.61
Mn (0.5000, 0.5000, 0.5000)  8 Al 2.59-2.71, 2 Mn 2.61
Al (0.0000, 0.3408, 0.3408)  4 Mn 2.71, 5 Al 2.79-2.84
Al (0.0000, 0.6592, 0.6592)  4 Mn 2.71, 5 Al 2.79-2.84
Al (0.2717, 0.5000, 0.7717)  4 Mn 2.59, 6 Al 2.79-2.88
Al (0.3408, 0.0000, 0.3408)  4 Mn 2.71, 5 Al 2.79-2.84
Al (0.5000, 0.2717, 0.7717)  4 Mn 2.59, 6 Al 2.79-2.88
Al (0.5000, 0.7283, 0.2283)  4 Mn 2.59, 6 Al 2.79-2.88
Al (0.6592, 0.0000, 0.6592)  4 Mn 2.71, 5 Al 2.79-2.84
Al (0.7283, 0.5000, 0.2283)  4 Mn 2.59, 6 Al 2.79-2.88

Results
SG: No. 139
ΔE_f, eV/atom: -0.317
Uncorrected energy, eV for the cell shown: -75.51

---

(4)
Computed, not measured: a relaxed structure of Pr3MnAlS7 at the PBE level of DFT.

a b c (Å): 10.0930 10.0930 6.1090
angles (deg): 90.00 90.00 120.00
Last column: nearest neighbours and their distance in Å.
Atoms (fractional coordinates):
Pr (0.1450, 0.3763, 0.0000)  7 S 2.85-3.05
Pr (0.2313, 0.8550, 0.0000)  7 S 2.85-3.05
Pr (0.3763, 0.2313, 0.5000)  7 S 2.85-3.05
Pr (0.6237, 0.7687, 0.0000)  7 S 2.85-3.05
Pr (0.7687, 0.1450, 0.5000)  7 S 2.85-3.05
Pr (0.8550, 0.6237, 0.5000)  7 S 2.85-3.05
Mn (0.0000, 0.0000, 0.2759)  6 S 2.51-2.68
Mn (0.0000, 0.0000, 0.7759)  6 S 2.51-2.68
Al (0.3333, 0.6667, 0.4215)  4 S 2.23-2.25
Al (0.6667, 0.3333, 0.9215)  4 S 2.23-2.25
S (0.0934, 0.2380, 0.5487)  2 Mn 2.51-2.68
S (0.0991, 0.5783, 0.2745)  1 Al 2.25
S (0.1446, 0.9066, 0.5487)  2 Mn 2.51-2.68
S (0.2380, 0.1446, 0.0487)  2 Mn 2.51-2.68
S (0.3333, 0.6667, 0.7865)  1 Al 2.23
S (0.4217, 0.5207, 0.2745)  1 Al 2.25
S (0.4793, 0.9009, 0.2745)  1 Al 2.25
S (0.5207, 0.0991, 0.7745)  1 Al 2.25
S (0.5783, 0.4793, 0.7745)  1 Al 2.25
S (0.6667, 0.3333, 0.2865)  1 Al 2.23
S (0.7620, 0.8554, 0.5487)  2 Mn 2.51-2.68
S (0.8554, 0.0934, 0.0487)  2 Mn 2.51-2.68
S (0.9009, 0.4217, 0.7745)  1 Al 2.25
S (0.9066, 0.7620, 0.0487)  2 Mn 2.51-2.68

Results
SG: No. 173
ΔE_f, eV/atom: -1.919
Uncorrected energy, eV for the cell shown: -151.43

---

(5)
Computed, not measured: a relaxed structure of MnAlPt2 at the PBE level of DFT.

a b c (Å): 4.3857 4.3857 4.3857
angles (deg): 60.00 60.00 60.00
Last column: nearest neighbours and their distance in Å.
Atoms (fractional coordinates):
Mn (0.0000, 0.0000, 0.0000)  8 Pt 2.69
Al (0.5000, 0.5000, 0.5000)  8 Pt 2.69
Pt (0.2500, 0.2500, 0.2500)  4 Al 2.69, 4 Mn 2.69
Pt (0.7500, 0.7500, 0.7500)  4 Mn 2.69, 4 Al 2.69

Results
SG: No. 225
ΔE_f, eV/atom: -0.688
Uncorrected energy, eV for the cell shown: -27.80

---

(6)
Computed, not measured: a relaxed structure of MnAlPt at the PBE level of DFT.

a b c (Å): 4.3448 4.3448 5.4511
angles (deg): 90.00 90.00 120.00
Last column: nearest neighbours and their distance in Å.
Atoms (fractional coordinates):
Mn (0.0000, 0.0000, 0.0000)  2 Mn 2.73, 6 Al 2.85, 6 Pt 2.85
Mn (0.0000, 0.0000, 0.5000)  2 Mn 2.73, 6 Al 2.85, 6 Pt 2.85
Al (0.3333, 0.6667, 0.2500)  5 Pt 2.51-2.73
Al (0.6667, 0.3333, 0.7500)  5 Pt 2.51-2.73
Pt (0.3333, 0.6667, 0.7500)  5 Al 2.51-2.73
Pt (0.6667, 0.3333, 0.2500)  5 Al 2.51-2.73

Results
SG: No. 194
ΔE_f, eV/atom: -0.637
Uncorrected energy, eV for the cell shown: -41.78

---

(7)
Computed, not measured: a relaxed structure of MnAlRh2 at the PBE level of DFT.

a b c (Å): 3.0301 3.0301 6.0860
angles (deg): 90.00 90.00 90.00
Last column: nearest neighbours and their distance in Å.
Atoms (fractional coordinates):
Mn (0.0000, 0.0000, 0.0000)  8 Rh 2.66
Al (0.0000, 0.0000, 0.5000)  8 Rh 2.60
Rh (0.5000, 0.5000, 0.2579)  4 Al 2.60, 4 Mn 2.66
Rh (0.5000, 0.5000, 0.7421)  4 Al 2.60, 4 Mn 2.66

Results
SG: No. 123
ΔE_f, eV/atom: -0.653
Uncorrected energy, eV for the cell shown: -30.25

---

(8)
Computed, not measured: a relaxed structure of Mn2AlS4 at the PBE level of DFT.

a b c (Å): 7.0133 7.0133 7.0133
angles (deg): 120.28 118.46 91.10
Last column: nearest neighbours and their distance in Å.
Atoms (fractional coordinates):
Mn (0.0000, 0.0000, 0.0000)  6 S 2.53-2.55
Mn (0.5000, 0.0000, 0.0000)  6 S 2.36-2.37
Mn (0.5000, 0.0000, 0.5000)  6 S 2.53-2.55
Mn (0.5000, 0.5000, 0.5000)  6 S 2.36-2.37
Al (0.0000, 0.5000, 0.5000)  6 S 2.40-2.46
Al (0.5000, 0.5000, 0.0000)  6 S 2.40-2.46
S (0.2602, 0.2699, 0.5097)  3 Mn 2.36-2.55, 2 Al 2.46
S (0.2602, 0.7505, 0.9903)  3 Mn 2.36-2.55, 2 Al 2.46
S (0.2709, 0.7435, 0.5274)  3 Mn 2.37-2.53, 1 Al 2.40
S (0.2839, 0.2565, 0.0274)  3 Mn 2.37-2.53, 1 Al 2.40
S (0.7161, 0.7435, 0.9726)  3 Mn 2.37-2.53, 1 Al 2.40
S (0.7291, 0.2565, 0.4726)  3 Mn 2.37-2.53, 1 Al 2.40
S (0.7398, 0.2495, 0.0097)  3 Mn 2.36-2.55, 2 Al 2.46
S (0.7398, 0.7301, 0.4903)  3 Mn 2.36-2.55, 2 Al 2.46

Results
SG: No. 74
ΔE_f, eV/atom: -0.953
Uncorrected energy, eV for the cell shown: -86.54